VASP calculation (PBE with a Hubbard U) on a relaxed LiVPO5 crystal.

Structure (POSCAR):
```
LiVPO5
1.0
12.621 0.000 0.000
0.000 6.310 0.000
0.000 0.000 10.526
Li V P O
8 8 8 40
direct
0.109 0.174 0.000 Li
0.118 0.846 0.789 Li
0.382 0.346 0.289 Li
0.391 0.674 0.500 Li
0.609 0.326 0.000 Li
0.618 0.654 0.789 Li
0.882 0.154 0.289 Li
0.891 0.826 0.500 Li
0.131 0.963 0.404 V
0.228 0.740 0.129 V
0.272 0.240 0.629 V
0.369 0.463 0.904 V
0.631 0.537 0.404 V
0.728 0.760 0.129 V
0.772 0.260 0.629 V
0.869 0.037 0.904 V
0.018 0.170 0.647 P
0.183 0.462 0.377 P
0.317 0.962 0.877 P
0.482 0.670 0.147 P
0.518 0.330 0.647 P
0.683 0.038 0.377 P
0.817 0.538 0.877 P
0.982 0.830 0.147 P
0.009 0.068 0.783 O
0.021 0.978 0.550 O
0.074 0.678 0.115 O
0.109 0.270 0.369 O
0.117 0.654 0.419 O
0.120 0.300 0.638 O
0.204 0.930 0.244 O
0.219 0.928 0.971 O
0.242 0.002 0.497 O
0.244 0.494 0.249 O
0.256 0.994 0.749 O
0.258 0.502 0.997 O
0.281 0.428 0.471 O
0.296 0.430 0.744 O
0.380 0.800 0.138 O
0.383 0.154 0.919 O
0.391 0.770 0.869 O
0.426 0.178 0.615 O
0.479 0.478 0.050 O
0.491 0.568 0.283 O
0.509 0.432 0.783 O
0.521 0.522 0.550 O
0.574 0.822 0.115 O
0.609 0.230 0.369 O
0.617 0.846 0.419 O
0.620 0.200 0.638 O
0.704 0.570 0.244 O
0.719 0.572 0.971 O
0.742 0.498 0.497 O
0.744 0.006 0.249 O
0.756 0.506 0.749 O
0.758 0.998 0.997 O
0.781 0.072 0.471 O
0.796 0.070 0.744 O
0.880 0.700 0.138 O
0.883 0.346 0.919 O
0.891 0.730 0.869 O
0.926 0.322 0.615 O
0.979 0.022 0.050 O
0.991 0.932 0.283 O
```

Values from the calculation:
size of the total moment	7.99	μB per cell
calculated formation energy	-249.4	kJ per mole of atoms
distance to the lowest polymorph of the same formula	81.3	meV per atom
calculated volume	13.098	A^3/atom